[1]
Rb2LiSbI6 | Materials Project | PBE | relaxed; space group = Fm-3m (225); E_form = -1.181 eV per atom; corrected total energy (MP2020 scheme) = -28.95 eV/cell
1.0
0.000 6.012 6.012
6.012 0.000 6.012
6.012 6.012 0.000
Rb Li Sb I
2 1 1 6
direct
0.250 0.250 0.250
0.750 0.750 0.750
0.000 0.000 0.000
0.500 0.500 0.500
0.248 0.248 0.752
0.248 0.752 0.248
0.248 0.752 0.752
0.752 0.248 0.248
0.752 0.248 0.752
0.752 0.752 0.248

[2]
Rb2LiYI6 | Materials Project | PBE | relaxed; space group = Fm-3m (225); E_form = -1.624 eV per atom; corrected total energy (MP2020 scheme) = -35.72 eV/cell
1.0
0.000 6.010 6.010
6.010 0.000 6.010
6.010 6.010 0.000
Rb Li Y I
2 1 1 6
direct
0.250 0.250 0.250
0.750 0.750 0.750
0.000 0.000 0.000
0.500 0.500 0.500
0.249 0.249 0.751
0.249 0.751 0.249
0.249 0.751 0.751
0.751 0.249 0.249
0.751 0.249 0.751
0.751 0.751 0.249

[3]
Li2UI6 | Materials Project | PBE | relaxed; space group = P-31c (163); E_form = -1.275 eV per atom; corrected total energy (MP2020 scheme) = -71.45 eV/cell
1.0
7.460 0.000 0.000
-3.730 6.460 0.000
0.000 0.000 14.562
Li U I
4 2 12
direct
0.000 0.000 0.250
0.000 0.000 0.750
0.333 0.667 0.250
0.667 0.333 0.750
0.333 0.667 0.750
0.667 0.333 0.250
0.003 0.336 0.631
0.003 0.667 0.869
0.333 0.336 0.869
0.333 0.997 0.631
0.336 0.003 0.131
0.336 0.333 0.369
0.664 0.667 0.631
0.664 0.997 0.869
0.667 0.003 0.369
0.667 0.664 0.131
0.997 0.333 0.131
0.997 0.664 0.369